w.
# meta-GGA r2SCAN SmEr3, optimized geometry
data_SmEr3
_chemical_formula_sum 'Sm2 Er6'
_cell_length_a 7.2452
_cell_length_b 7.2452
_cell_length_c 5.5854
_cell_angle_alpha 90.00
_cell_angle_beta 90.00
_cell_angle_gamma 120.00
_space_group_name_H-M_alt 'P 63/m m c'
_space_group_IT_number 194
_space_group_name_Hall '-P 6c 2c'
loop_
_atom_site_label
_atom_site_type_symbol
_atom_site_fract_x
_atom_site_fract_y
_atom_site_fract_z
_atom_site_occupancy
Sm1 Sm 0.3333 0.6667 0.2500 1
Er1 Er 0.1648 0.3296 0.7500 1
# Theoretical density: 8.53 g cm⁻³
# Total moment: 0.0 Bohr magnetons per cell

***

x.
# meta-GGA r2SCAN SmEr3, optimized geometry
data_SmEr3
_chemical_formula_sum 'Sm2 Er6'
_cell_length_a 5.014
_cell_length_b 5.014
_cell_length_c 9.960
_cell_angle_alpha 90.00
_cell_angle_beta 90.00
_cell_angle_gamma 90.00
_space_group_name_H-M_alt 'I 4/m m m'
_space_group_IT_number 139
_space_group_name_Hall '-I 4 2'
loop_
_atom_site_label
_atom_site_type_symbol
_atom_site_fract_x
_atom_site_fract_y
_atom_site_fract_z
_atom_site_occupancy
Sm1 Sm 0.000 0.000 0.000 1
Er1 Er 0.000 0.000 0.500 1
Er2 Er 0.000 0.500 0.250 1
# Theoretical density: 8.65 g cm⁻³
# Total moment: 0.0 Bohr magnetons per cell

***

Most stable structure: w

***

w.
# meta-GGA r2SCAN Sm3Er, optimized geometry
data_Sm3Er
_chemical_formula_sum 'Sm3 Er1'
_cell_length_a 5.092
_cell_length_b 5.092
_cell_length_c 5.092
_cell_angle_alpha 90.00
_cell_angle_beta 90.00
_cell_angle_gamma 90.00
_space_group_name_H-M_alt 'P m -3 m'
_space_group_IT_number 221
_space_group_name_Hall '-P 4 2 3'
loop_
_atom_site_label
_atom_site_type_symbol
_atom_site_fract_x
_atom_site_fract_y
_atom_site_fract_z
_atom_site_occupancy
Sm1 Sm 0.000 0.000 0.500 1
Er1 Er 0.500 0.500 0.500 1
# Theoretical density: 7.78 g cm⁻³
# Total moment: 0.3 Bohr magnetons per cell

***

x.
# meta-GGA r2SCAN Sm3Er, optimized geometry
data_Sm3Er
_chemical_formula_sum 'Sm6 Er2'
_cell_length_a 7.3380
_cell_length_b 7.3380
_cell_length_c 5.8469
_cell_angle_alpha 90.00
_cell_angle_beta 90.00
_cell_angle_gamma 120.00
_space_group_name_H-M_alt 'P 63/m m c'
_space_group_IT_number 194
_space_group_name_Hall '-P 6c 2c'
loop_
_atom_site_label
_atom_site_type_symbol
_atom_site_fract_x
_atom_site_fract_y
_atom_site_fract_z
_atom_site_occupancy
Sm1 Sm 0.1692 0.3383 0.2500 1
Er1 Er 0.3333 0.6667 0.7500 1
# Theoretical density: 7.53 g cm⁻³
# Total moment: 4.7 Bohr magnetons per cell

***

Most stable structure: x